Record 1
Density functional theory data (PBE+U) for a geometry-optimized Li6Mn5FeB6O18 structure.

POSCAR file:
```
Li6Mn5FeB6O18
1.0
3.184 8.262 0.000
-3.184 8.262 0.000
0.000 4.131 7.171
O B Li Mn Fe
18 6 6 5 1
direct
0.986 0.487 0.778
0.970 0.470 0.420
0.555 0.555 0.805
0.815 0.323 0.442
0.459 0.959 0.141
0.402 0.402 0.079
0.058 0.058 0.807
0.638 0.143 0.748
0.470 0.970 0.420
0.959 0.459 0.141
0.039 0.039 0.116
0.624 0.125 0.473
0.125 0.624 0.473
0.903 0.903 0.078
0.143 0.638 0.748
0.487 0.986 0.778
0.539 0.539 0.112
0.323 0.815 0.442
0.583 0.085 0.666
0.085 0.583 0.666
0.499 0.499 0.000
0.000 0.000 0.000
0.418 0.914 0.334
0.914 0.418 0.334
0.599 0.100 0.017
0.259 0.758 0.284
0.392 0.891 0.698
0.758 0.259 0.284
0.891 0.392 0.698
0.100 0.599 0.017
0.320 0.320 0.372
0.821 0.821 0.371
0.186 0.186 0.988
0.994 0.994 0.641
0.686 0.686 0.988
0.496 0.496 0.640
```

Properties
Total energy: -0.267 Ha/atom
Formation enthalpy at 0 K: -2481 meV per atom
Symmetry: Cm

Record 2
Density functional theory data (PBE+U) for a geometry-optimized Li8Mn7FeB8O24 structure.

POSCAR file:
```
Li8Mn7FeB8O24
1.0
1.812 2.165 4.424
-5.797 -5.163 4.672
9.734 -5.732 -1.113
Mn O B Li Fe
7 24 8 8 1
direct
0.167 0.803 0.383
0.333 0.698 0.617
0.667 0.803 0.883
0.332 0.198 0.115
0.833 0.697 0.117
0.834 0.197 0.617
0.667 0.302 0.382
0.180 0.399 0.085
0.214 0.179 0.663
0.590 0.026 0.649
0.090 0.525 0.649
0.910 0.475 0.351
0.286 0.822 0.838
0.681 0.899 0.087
0.713 0.179 0.162
0.214 0.679 0.162
0.714 0.679 0.663
0.319 0.601 0.413
0.589 0.525 0.148
0.792 0.321 0.841
0.818 0.601 0.913
0.411 0.469 0.853
0.090 0.025 0.149
0.786 0.821 0.337
0.820 0.101 0.413
0.909 0.975 0.851
0.681 0.399 0.587
0.181 0.899 0.587
0.317 0.103 0.911
0.410 0.975 0.351
0.286 0.321 0.338
0.831 0.035 0.131
0.669 0.965 0.369
0.169 0.966 0.868
0.330 0.535 0.130
0.169 0.465 0.369
0.831 0.535 0.632
0.331 0.036 0.632
0.671 0.463 0.870
0.350 0.883 0.164
0.649 0.117 0.836
0.151 0.617 0.836
0.650 0.617 0.336
0.150 0.118 0.335
0.349 0.382 0.665
0.850 0.382 0.164
0.850 0.883 0.664
0.164 0.304 0.882
```

Properties
Total energy: -0.267 Ha/atom
Formation enthalpy at 0 K: -2484 meV per atom
Symmetry: P1

Record 3
Density functional theory data (PBE+U) for a geometry-optimized Li4Mn3FeB4O12 structure.

POSCAR file:
```
Li4Mn3FeB4O12
1.0
5.241 0.000 0.000
-2.599 4.552 0.000
-0.382 -0.666 20.918
Li B Fe Mn O
8 8 2 6 24
direct
0.321 0.349 0.416
0.348 0.321 0.666
0.662 0.651 0.791
0.661 0.651 0.291
0.349 0.321 0.166
0.649 0.661 0.541
0.321 0.347 0.916
0.651 0.661 0.041
0.335 0.996 0.062
0.003 0.660 0.687
0.660 0.003 0.438
0.996 0.334 0.312
0.334 0.994 0.562
0.994 0.333 0.812
0.003 0.658 0.187
0.659 0.003 0.937
0.327 0.001 0.809
0.003 0.334 0.559
0.998 0.679 0.933
0.997 0.329 0.058
0.329 0.997 0.309
0.677 0.998 0.683
0.997 0.675 0.434
0.677 0.996 0.183
0.576 0.959 0.077
0.068 0.754 0.041
0.036 0.423 0.666
0.971 0.582 0.827
0.754 0.068 0.291
0.959 0.576 0.328
0.267 0.351 0.819
0.252 0.932 0.202
0.626 0.727 0.944
0.349 0.265 0.569
0.362 0.270 0.069
0.933 0.253 0.453
0.747 0.069 0.792
0.068 0.746 0.542
0.727 0.626 0.194
0.036 0.422 0.166
0.422 0.036 0.916
0.270 0.362 0.319
0.253 0.932 0.703
0.727 0.628 0.694
0.628 0.727 0.445
0.423 0.036 0.417
0.932 0.252 0.952
0.582 0.969 0.577
```

Properties
Total energy: -0.265 Ha/atom
Distance to the lowest polymorph of the same formula: 1 meV per atom
Formation enthalpy at 0 K: -2463 meV per atom
Symmetry: P1

Record 4
Density functional theory data (PBE+U) for a geometry-optimized Li2MnFeB2O6 structure.

POSCAR file:
```
Li2MnFeB2O6
1.0
0.053 5.239 0.020
1.891 -0.158 7.980
5.991 0.042 -0.047
O B Li Fe Mn
12 4 4 2 2
direct
0.588 0.384 0.319
0.678 0.810 0.018
0.319 0.188 0.988
0.822 0.690 0.482
0.293 0.979 0.340
0.181 0.312 0.512
0.206 0.521 0.160
0.712 0.018 0.662
0.414 0.624 0.673
0.086 0.876 0.827
0.788 0.482 0.838
0.912 0.116 0.181
0.171 0.093 0.168
0.827 0.904 0.836
0.673 0.596 0.664
0.329 0.407 0.332
0.349 0.722 0.955
0.845 0.222 0.455
0.151 0.778 0.545
0.656 0.279 0.045
0.838 0.584 0.178
0.662 0.917 0.322
0.329 0.079 0.683
0.171 0.421 0.817
```

Properties
Total energy: -0.262 Ha/atom
Distance to the lowest polymorph of the same formula: 3 meV per atom
Formation enthalpy at 0 K: -2418 meV per atom
Symmetry: P-1

Question: Among the records above, which one has the highest formation enthalpy at 0 K?
Answer: Li2MnFeB2O6

Question: What is the formation enthalpy at 0 K in the fourth record?
Answer: -2418 meV per atom